1.
A plane-wave DFT calculation with PBE was carried out for a relaxed structure of Na3MgBiO4.

abc: 6.3407 3.4006 6.7740
angles: 90.00 82.68 90.00
Atoms (fractional coordinates):
O (0.7326, 0.0000, 0.9081)
O (0.1383, 0.0000, 0.3996)
O (0.3315, 0.5000, 0.7457)
O (0.5984, 0.5000, 0.3312)
Na (0.6405, 0.0000, 0.5610)
Na (0.9482, 0.5000, 0.2481)
Na (0.0882, 0.0000, 0.7718)
Bi (0.5176, 0.5000, 0.0141)
Mg (0.2964, 0.5000, 0.4577)

- space-group type = Pm, No. 6
- VASP energy (eV/atom) = -4.7495
- energy above the lowest structure with this stoichiometry (eV/atom) = 0.010

2.
A plane-wave DFT calculation with PBE was carried out for a relaxed structure of NaMg6BiO8.

abc: 8.9065 4.4710 4.4710
angles: 90.00 90.00 90.00
Atoms (fractional coordinates):
O (0.5000, 0.5000, 0.0000)
O (0.7304, 0.0000, 0.0000)
O (0.7303, 0.5000, 0.5000)
O (0.2696, 0.0000, 0.0000)
O (0.2697, 0.5000, 0.5000)
O (0.0000, 0.5000, 0.0000)
O (0.5000, 0.0000, 0.5000)
O (0.0000, 0.0000, 0.5000)
Mg (0.5000, 0.5000, 0.5000)
Mg (0.2660, 0.0000, 0.5000)
Mg (0.5000, 0.0000, 0.0000)
Mg (0.2660, 0.5000, 0.0000)
Mg (0.7340, 0.0000, 0.5000)
Mg (0.7340, 0.5000, 0.0000)
Na (0.0000, 0.0000, 0.0000)
Bi (0.0000, 0.5000, 0.5000)

- space-group type = P4/mmm, No. 123
- VASP energy (eV/atom) = -5.6292
- energy above the lowest structure with this stoichiometry (eV/atom) = 0.000

3.
A plane-wave DFT calculation with PBE was carried out for a relaxed structure of NaMg14BiO16.

abc: 8.7212 8.7212 4.4049
angles: 90.00 90.00 90.00
Atoms (fractional coordinates):
Mg (0.7670, 0.5000, 0.5000)
Mg (0.7615, 0.7615, 0.0000)
Mg (0.5000, 0.2330, 0.5000)
Mg (0.0000, 0.5000, 0.0000)
Mg (0.0000, 0.2440, 0.5000)
Mg (0.0000, 0.7560, 0.5000)
Mg (0.5000, 0.7670, 0.5000)
Mg (0.2440, 0.0000, 0.5000)
Mg (0.2385, 0.2385, 0.0000)
Mg (0.2330, 0.5000, 0.5000)
Mg (0.7560, 0.0000, 0.5000)
Mg (0.2385, 0.7615, 0.0000)
Mg (0.5000, 0.0000, 0.0000)
Mg (0.7615, 0.2385, 0.0000)
O (0.7480, 0.2520, 0.5000)
O (0.7371, 0.0000, 0.0000)
O (0.7480, 0.7480, 0.5000)
O (0.2629, 0.0000, 0.0000)
O (0.5000, 0.2347, 0.0000)
O (0.7653, 0.5000, 0.0000)
O (0.5000, 0.0000, 0.5000)
O (0.0000, 0.2629, 0.0000)
O (0.0000, 0.5000, 0.5000)
O (0.5000, 0.5000, 0.5000)
O (0.0000, 0.7371, 0.0000)
O (0.2347, 0.5000, 0.0000)
O (0.2520, 0.2520, 0.5000)
O (0.5000, 0.7653, 0.0000)
O (0.0000, 0.0000, 0.5000)
O (0.2520, 0.7480, 0.5000)
Na (0.0000, 0.0000, 0.0000)
Bi (0.5000, 0.5000, 0.0000)

- space-group type = P4/mmm, No. 123
- VASP energy (eV/atom) = -5.7791
- energy above the lowest structure with this stoichiometry (eV/atom) = 0.000

4.
A plane-wave DFT calculation with PBE was carried out for a relaxed structure of NaMg6BiO8.

abc: 9.0058 4.4845 4.4845
angles: 90.00 90.00 90.00
Atoms (fractional coordinates):
O (0.7475, 0.5000, 0.5000)
O (0.5000, 0.0000, 0.5000)
O (0.0000, 0.0000, 0.5000)
O (0.5000, 0.5000, 0.0000)
O (0.2525, 0.5000, 0.5000)
O (0.0000, 0.5000, 0.0000)
O (0.2445, 0.0000, 0.0000)
O (0.7555, 0.0000, 0.0000)
Mg (0.7754, 0.0000, 0.5000)
Mg (0.0000, 0.5000, 0.5000)
Mg (0.2246, 0.0000, 0.5000)
Mg (0.5000, 0.5000, 0.5000)
Mg (0.7754, 0.5000, 0.0000)
Mg (0.2246, 0.5000, 0.0000)
Bi (0.5000, 0.0000, 0.0000)
Na (0.0000, 0.0000, 0.0000)

- space-group type = P4/mmm, No. 123
- VASP energy (eV/atom) = -5.5645
- energy above the lowest structure with this stoichiometry (eV/atom) = 0.065

5.
A plane-wave DFT calculation with PBE was carried out for a relaxed structure of Na4MgBi2O6.

abc: 6.3227 6.0782 6.6136
angles: 78.55 109.52 65.63
Atoms (fractional coordinates):
O (0.1188, 0.7113, 0.2767)
O (0.8731, 0.2895, 0.1983)
O (0.5019, 0.0105, 0.2147)
O (0.6088, 0.1734, 0.7670)
O (0.3240, 0.8763, 0.7288)
O (0.0341, 0.5035, 0.7488)
Bi (0.9886, 0.0843, 0.9994)
Bi (0.9394, 0.8828, 0.4910)
Mg (0.3548, 0.1401, 0.8646)
Na (0.8029, 0.6784, 0.9716)
Na (0.4266, 0.5050, 0.0286)
Na (0.2846, 0.2388, 0.4115)
Na (0.5463, 0.6439, 0.5173)

- space-group type = P1, No. 1
- VASP energy (eV/atom) = -4.8723
- energy above the lowest structure with this stoichiometry (eV/atom) = 0.026

6.
A plane-wave DFT calculation with PBE was carried out for a relaxed structure of Na4MgBi2O6.

abc: 6.1312 6.0331 6.7914
angles: 84.00 94.78 59.00
Atoms (fractional coordinates):
Bi (0.0533, 0.1419, 0.9185)
Bi (0.8339, 0.9499, 0.4254)
Na (0.6854, 0.8197, 0.9116)
Na (0.5939, 0.5961, 0.4040)
Na (0.2023, 0.1929, 0.4299)
Na (0.3767, 0.4132, 0.1188)
O (0.2005, 0.5951, 0.3947)
O (0.0938, 0.4742, 0.8392)
O (0.3038, 0.8803, 0.7213)
O (0.5409, 0.9636, 0.2185)
O (0.8320, 0.2561, 0.2426)
O (0.6972, 0.2779, 0.7263)
Mg (0.3276, 0.5415, 0.6905)

- space-group type = P1, No. 1
- VASP energy (eV/atom) = -4.8939
- energy above the lowest structure with this stoichiometry (eV/atom) = 0.005

7.
A plane-wave DFT calculation with PBE was carried out for a relaxed structure of Na4MgBi2O6.

abc: 6.3491 6.4200 6.0118
angles: 82.05 99.38 59.92
Atoms (fractional coordinates):
O (0.7069, 0.1735, 0.2680)
O (0.3426, 0.0271, 0.2360)
O (0.2060, 0.5031, 0.2915)
O (0.6339, 0.0084, 0.7976)
O (0.8593, 0.4702, 0.7277)
O (0.2883, 0.7804, 0.7514)
Na (0.9740, 0.7309, 0.5108)
Na (0.0245, 0.1901, 0.4821)
Na (0.9947, 0.0097, 0.9962)
Na (0.4690, 0.6389, 0.4398)
Bi (0.3394, 0.3241, 0.0057)
Bi (0.6508, 0.6749, 0.9506)
Mg (0.4897, 0.1562, 0.4695)

- space-group type = P1, No. 1
- VASP energy (eV/atom) = -4.8926
- energy above the lowest structure with this stoichiometry (eV/atom) = 0.006

8.
A plane-wave DFT calculation with PBE was carried out for a relaxed structure of Na3MgBiO4.

abc: 6.2395 3.5118 6.8393
angles: 90.00 87.63 90.00
Atoms (fractional coordinates):
Na (0.9665, 0.0000, 0.7928)
Na (0.1270, 0.5000, 0.3971)
Na (0.4424, 0.0000, 0.6012)
O (0.3596, 0.0000, 0.2655)
O (0.6231, 0.0000, 0.9155)
O (0.2095, 0.5000, 0.7330)
O (0.7913, 0.5000, 0.2954)
Mg (0.6932, 0.0000, 0.2227)
Bi (0.3916, 0.5000, 0.0061)

- space-group type = Pm, No. 6
- VASP energy (eV/atom) = -4.7345
- energy above the lowest structure with this stoichiometry (eV/atom) = 0.025

9.
A plane-wave DFT calculation with PBE was carried out for a relaxed structure of Na2MgBi2O6.

abc: 6.4537 6.4537 6.4537
angles: 53.81 53.81 53.81
Atoms (fractional coordinates):
O (0.1141, 0.6783, 0.4569)
O (0.6783, 0.4569, 0.1141)
O (0.3217, 0.5431, 0.8859)
O (0.5431, 0.8859, 0.3217)
O (0.4569, 0.1141, 0.6783)
O (0.8859, 0.3217, 0.5431)
Bi (0.3178, 0.3178, 0.3178)
Bi (0.6822, 0.6822, 0.6822)
Na (0.8791, 0.8791, 0.8791)
Na (0.1209, 0.1209, 0.1209)
Mg (0.5000, 0.5000, 0.5000)

- space-group type = R-3, No. 148
- VASP energy (eV/atom) = -5.2201
- energy above the lowest structure with this stoichiometry (eV/atom) = 0.020

10.
A plane-wave DFT calculation with PBE was carried out for a relaxed structure of Na2MgBi2O6.

abc: 6.3639 7.2506 6.2588
angles: 55.29 53.46 53.05
Atoms (fractional coordinates):
O (0.3087, 0.5332, 0.9214)
O (0.9083, 0.3628, 0.5145)
O (0.1072, 0.6652, 0.4386)
O (0.5405, 0.0353, 0.1961)
O (0.4782, 0.1136, 0.6806)
O (0.7149, 0.4362, 0.0692)
Na (0.1035, 0.0675, 0.1757)
Na (0.8399, 0.6624, 0.0786)
Bi (0.3471, 0.3460, 0.3255)
Bi (0.6559, 0.6982, 0.6588)
Mg (0.5895, 0.2462, 0.7847)

- space-group type = P1, No. 1
- VASP energy (eV/atom) = -5.2247
- energy above the lowest structure with this stoichiometry (eV/atom) = 0.015

11.
A plane-wave DFT calculation with PBE was carried out for a relaxed structure of Na4MgBi2O6.

abc: 6.3325 6.3325 6.3294
angles: 78.09 101.91 62.63
Atoms (fractional coordinates):
Na (0.1049, 0.1867, 0.4892)
Na (0.4666, 0.5334, 0.4301)
Na (0.8133, 0.8951, 0.4892)
Na (0.0927, 0.9073, 0.9723)
O (0.7153, 0.2847, 0.2216)
O (0.6339, 0.0777, 0.7838)
O (0.3198, 0.6802, 0.7576)
O (0.0817, 0.5591, 0.2220)
O (0.9223, 0.3661, 0.7838)
O (0.4409, 0.9183, 0.2220)
Bi (0.2571, 0.3434, 0.0088)
Bi (0.6566, 0.7429, 0.0088)
Mg (0.6616, 0.3384, 0.8920)

- space-group type = Cm, No. 8
- VASP energy (eV/atom) = -4.8079
- energy above the lowest structure with this stoichiometry (eV/atom) = 0.091

12.
A plane-wave DFT calculation with PBE was carried out for a relaxed structure of Na4MgBi2O6.

abc: 6.6622 6.6481 6.4001
angles: 82.39 106.47 58.94
Atoms (fractional coordinates):
Na (0.6245, 0.6950, 0.0487)
Na (0.3383, 0.2875, 0.4201)
Na (0.4824, 0.3146, 0.9162)
Na (0.5470, 0.6148, 0.5446)
O (0.7289, 0.1461, 0.7257)
O (0.2600, 0.7338, 0.7757)
O (0.8876, 0.5728, 0.8389)
O (0.1598, 0.7193, 0.2564)
O (0.9546, 0.2567, 0.2762)
O (0.4805, 0.0484, 0.1816)
Mg (0.0030, 0.7826, 0.9188)
Bi (0.9326, 0.9523, 0.4320)
Bi (0.0783, 0.1799, 0.9911)

- space-group type = P1, No. 1
- VASP energy (eV/atom) = -4.8777
- energy above the lowest structure with this stoichiometry (eV/atom) = 0.021

Number 1: energy relative to the elements -1.80 eV per atom. Number 2: energy relative to the elements -2.57 eV per atom. Number 3: energy relative to the elements -2.79 eV per atom. Number 4: energy relative to the elements -2.51 eV per atom. Number 5: energy relative to the elements -1.78 eV per atom. Number 6: energy relative to the elements -1.80 eV per atom. Number 7: energy relative to the elements -1.80 eV per atom. Number 8: energy relative to the elements -1.79 eV per atom. Number 9: energy relative to the elements -1.80 eV per atom. Number 10: energy relative to the elements -1.81 eV per atom. Number 11: energy relative to the elements -1.71 eV per atom. Number 12: energy relative to the elements -1.78 eV per atom.